Record 1
First-principles (GGA-PBE) data for crystalline CeCd3As3 at its relaxed geometry, as listed in the Materials Project database.

Cell and atoms, written as POSCAR:
```
CeCd3As3
1.0
-2.248 -3.905 0.000
-4.502 0.002 0.000
0.000 0.000 -21.678
Cd As Ce
6 6 2
direct
0.334 0.334 0.375
0.269 0.365 0.750
0.666 0.667 0.625
0.334 0.334 0.125
0.636 0.636 0.250
0.666 0.667 0.875
0.665 0.667 0.424
0.599 0.699 0.750
0.333 0.334 0.924
0.302 0.298 0.250
0.665 0.667 0.076
0.333 0.334 0.576
0.999 0.000 0.500
0.999 0.000 0.000
```

Calculated values
* energy of formation from the pure elements: -3.3 eV/f.u.



Record 2
First-principles (GGA-PBE) data for crystalline K2NaTaBr6 at its relaxed geometry, as listed in the Materials Project database.

Cell and atoms, written as POSCAR:
```
K2NaTaBr6
1.0
0.000 5.515 5.515
5.515 0.000 5.515
5.515 5.515 0.000
Br Ta K Na
6 1 2 1
direct
0.762 0.238 0.762
0.238 0.762 0.238
0.762 0.762 0.238
0.238 0.762 0.762
0.238 0.238 0.762
0.762 0.238 0.238
0.000 0.000 0.000
0.250 0.250 0.250
0.750 0.750 0.750
0.500 0.500 0.500
```

Calculated values
* energy of formation from the pure elements: -15.5 eV/f.u.



Record 3
First-principles (GGA-PBE) data for crystalline Rb5Pt3C12O27 at its relaxed geometry, as listed in the Materials Project database.

Cell and atoms, written as POSCAR:
```
Rb5Pt3C12O27
1.0
8.319 7.807 1.624
8.206 -7.242 4.766
7.750 1.813 -9.910
O C Rb Pt
54 24 10 6
direct
0.387 0.063 0.668
0.627 0.811 0.567
0.913 0.775 0.822
0.240 0.627 0.605
0.173 0.072 0.722
0.994 0.443 0.780
0.190 0.009 0.956
0.087 0.225 0.178
0.875 0.086 0.800
0.968 0.806 0.450
0.827 0.928 0.278
0.810 0.991 0.044
0.380 0.757 0.958
0.319 0.106 0.999
0.816 0.352 0.744
0.123 0.248 0.871
0.184 0.648 0.256
0.301 0.771 0.380
0.062 0.602 0.585
0.817 0.929 0.586
0.209 0.290 0.582
0.877 0.752 0.129
0.620 0.243 0.042
0.373 0.189 0.433
0.681 0.894 0.001
0.805 0.546 0.593
0.670 0.722 0.216
0.938 0.398 0.415
0.661 0.106 0.848
0.791 0.710 0.418
0.032 0.194 0.550
0.165 0.754 0.037
0.025 0.874 0.884
0.195 0.454 0.407
0.125 0.914 0.200
0.183 0.071 0.414
0.006 0.557 0.220
0.153 0.465 0.056
0.613 0.937 0.332
0.330 0.278 0.784
0.975 0.126 0.116
0.760 0.373 0.395
0.615 0.523 0.589
0.385 0.477 0.411
0.654 0.459 0.890
0.699 0.229 0.620
0.711 0.713 0.791
0.847 0.535 0.944
0.591 0.435 0.189
0.289 0.287 0.209
0.835 0.246 0.963
0.346 0.541 0.110
0.339 0.894 0.152
0.409 0.565 0.811
0.735 0.503 0.551
0.744 0.786 0.504
0.814 0.418 0.445
0.153 0.153 0.482
0.753 0.130 0.863
0.756 0.779 0.205
0.244 0.221 0.795
0.730 0.212 0.965
0.790 0.913 0.984
0.230 0.571 0.170
0.770 0.429 0.830
0.265 0.497 0.449
0.725 0.890 0.279
0.874 0.475 0.856
0.275 0.110 0.721
0.256 0.214 0.496
0.186 0.582 0.555
0.847 0.847 0.518
0.085 0.152 0.111
0.915 0.848 0.889
0.126 0.525 0.144
0.247 0.870 0.137
0.270 0.788 0.035
0.210 0.087 0.016
0.569 0.661 0.053
0.431 0.339 0.947
0.502 0.682 0.457
0.915 0.116 0.400
0.459 0.063 0.207
0.498 0.318 0.543
0.085 0.884 0.600
0.126 0.604 0.863
0.874 0.396 0.137
0.541 0.937 0.793
0.000 0.000 0.000
0.989 0.679 0.337
0.998 0.839 0.163
0.011 0.321 0.663
0.002 0.161 0.837
0.000 0.500 0.500
```

Calculated values
* energy of formation from the pure elements: -64.0 eV/f.u.



Record 4
First-principles (GGA-PBE) data for crystalline Nd3Mg at its relaxed geometry, as listed in the Materials Project database.

Cell and atoms, written as POSCAR:
```
Nd3Mg
1.0
-3.481 -3.493 1.068
2.411 -3.306 -2.953
2.744 -1.527 3.950
Mg Nd
1 3
direct
0.000 0.000 0.000
0.500 0.000 0.500
0.000 0.500 0.500
0.500 0.500 0.000
```

Calculated values
* energy of formation from the pure elements: 0.0 eV/f.u.



Record 5
First-principles (GGA-PBE) data for crystalline V5Si3 at its relaxed geometry, as listed in the Materials Project database.

Cell and atoms, written as POSCAR:
```
V5Si3
1.0
-4.739 -0.509 5.212
2.071 4.407 -5.116
-2.977 -4.795 -4.245
V Si
10 6
direct
0.074 0.225 0.299
0.426 0.725 0.151
0.250 0.750 0.500
0.926 0.775 0.701
0.775 0.074 0.849
0.225 0.926 0.151
0.275 0.426 0.701
0.750 0.250 0.500
0.574 0.275 0.849
0.725 0.574 0.299
0.250 0.250 0.000
0.834 0.334 0.168
0.334 0.166 0.500
0.166 0.666 0.832
0.666 0.834 0.500
0.750 0.750 0.000
```

Calculated values
* energy of formation from the pure elements: -4.5 eV/f.u.
* energy above the lowest structure with this stoichiometry: 0.000 eV per atom



Record 6
First-principles (GGA-PBE) data for crystalline KLiYF5 at its relaxed geometry, as listed in the Materials Project database.

Cell and atoms, written as POSCAR:
```
KLiYF5
1.0
-8.792 -8.038 0.066
4.226 -4.633 -1.240
2.551 -2.747 5.371
F Li K Y
20 4 4 4
direct
0.993 0.673 0.045
0.507 0.173 0.045
0.493 0.827 0.955
0.007 0.327 0.955
0.468 0.547 0.665
0.605 0.965 0.536
0.895 0.465 0.536
0.674 0.279 0.713
0.195 0.722 0.721
0.532 0.453 0.335
0.968 0.953 0.335
0.805 0.278 0.279
0.395 0.035 0.464
0.174 0.221 0.287
0.826 0.779 0.713
0.105 0.535 0.464
0.326 0.721 0.287
0.032 0.047 0.665
0.695 0.778 0.279
0.305 0.222 0.721
0.255 0.538 0.559
0.245 0.038 0.559
0.745 0.462 0.441
0.755 0.962 0.441
0.651 0.537 0.947
0.849 0.037 0.947
0.151 0.963 0.053
0.349 0.463 0.053
0.502 0.820 0.318
0.998 0.320 0.318
0.002 0.680 0.682
0.498 0.180 0.682
```

Calculated values
* energy of formation from the pure elements: -30.3 eV/f.u.



Record 7
First-principles (GGA-PBE) data for crystalline Zr9Pd11 at its relaxed geometry, as listed in the Materials Project database.

Cell and atoms, written as POSCAR:
```
Zr9Pd11
1.0
2.500 -3.033 -7.142
-0.115 -3.416 7.401
-8.001 0.655 -1.421
Pd Zr
11 9
direct
0.565 0.900 0.891
0.009 0.674 0.109
0.900 0.009 0.335
0.500 0.500 0.000
0.674 0.565 0.665
0.435 0.100 0.109
0.326 0.435 0.335
0.991 0.326 0.891
0.750 0.250 0.500
0.250 0.750 0.500
0.100 0.991 0.665
0.307 0.095 0.401
0.000 0.000 0.000
0.239 0.415 0.655
0.585 0.239 0.824
0.761 0.585 0.345
0.415 0.761 0.176
0.693 0.905 0.599
0.905 0.307 0.212
0.095 0.693 0.788
```

Calculated values
* energy of formation from the pure elements: -12.9 eV/f.u.



Record 8
First-principles (GGA-PBE) data for crystalline DyIn2Ni at its relaxed geometry, as listed in the Materials Project database.

Cell and atoms, written as POSCAR:
```
DyIn2Ni
1.0
4.295 0.000 0.000
-2.148 5.223 0.000
0.000 0.000 7.496
Dy Ni In
2 2 4
direct
0.566 0.132 0.750
0.434 0.868 0.250
0.282 0.564 0.750
0.718 0.436 0.250
0.856 0.712 0.550
0.856 0.712 0.950
0.144 0.288 0.450
0.144 0.288 0.050
```

Calculated values
* energy of formation from the pure elements: -1.7 eV/f.u.



Record 9
First-principles (GGA-PBE) data for crystalline Na7Zn4P3S3O24 at its relaxed geometry, as listed in the Materials Project database.

Cell and atoms, written as POSCAR:
```
Na7Zn4P3S3O24
1.0
-3.745 -7.049 4.249
2.369 -0.699 -8.698
20.038 -6.984 5.703
S Na O Zn P
9 21 72 12 9
direct
0.001 0.702 0.750
0.706 0.705 0.250
0.668 0.031 0.084
0.961 0.631 0.083
0.631 0.666 0.915
0.333 0.371 0.416
0.366 0.036 0.582
0.968 0.334 0.584
0.297 0.296 0.750
0.347 0.672 0.667
0.961 0.299 0.412
0.976 0.666 0.917
0.041 0.334 0.083
0.653 0.306 0.832
0.332 0.024 0.415
0.999 0.998 0.500
0.299 0.972 0.081
0.341 0.660 0.165
0.008 0.633 0.251
0.634 0.639 0.744
0.634 0.005 0.254
0.708 0.675 0.422
0.326 0.292 0.921
0.665 0.958 0.583
0.359 0.359 0.246
0.699 0.038 0.912
0.672 0.327 0.333
0.996 0.360 0.755
0.027 0.699 0.579
0.002 0.001 0.001
0.792 0.817 0.197
0.522 0.833 0.755
0.188 0.205 0.697
0.509 0.863 0.079
0.144 0.448 0.973
0.691 0.547 0.527
0.308 0.453 0.469
0.697 0.140 0.028
0.444 0.133 0.525
0.885 0.357 0.639
0.454 0.312 0.026
0.311 0.468 0.752
0.823 0.015 0.089
0.508 0.656 0.581
0.689 0.532 0.245
0.012 0.186 0.913
0.648 0.147 0.421
0.215 0.026 0.307
0.188 0.967 0.193
0.854 0.353 0.921
0.832 0.812 0.587
0.166 0.479 0.255
0.025 0.220 0.192
0.851 0.505 0.423
0.359 0.474 0.359
0.842 0.531 0.748
0.688 0.167 0.743
0.479 0.164 0.246
0.347 0.861 0.581
0.967 0.187 0.307
0.983 0.787 0.805
0.475 0.323 0.746
0.146 0.690 0.475
0.371 0.885 0.865
0.780 0.971 0.692
0.187 0.171 0.085
0.859 0.305 0.529
0.812 0.030 0.807
0.022 0.804 0.694
0.525 0.884 0.359
0.644 0.113 0.139
0.109 0.632 0.361
0.470 0.355 0.142
0.478 0.119 0.635
0.304 0.856 0.978
0.151 0.675 0.753
0.864 0.548 0.027
0.167 0.978 0.912
0.817 0.989 0.412
0.805 0.821 0.911
0.803 0.777 0.307
0.550 0.695 0.968
0.135 0.649 0.082
0.488 0.352 0.421
0.877 0.524 0.139
0.120 0.479 0.858
0.492 0.148 0.923
0.650 0.512 0.922
0.981 0.805 0.087
0.528 0.639 0.859
0.343 0.495 0.079
0.984 0.178 0.589
0.650 0.527 0.643
0.839 0.324 0.244
0.019 0.830 0.413
0.530 0.683 0.253
0.136 0.492 0.578
0.226 0.201 0.808
0.322 0.839 0.254
0.555 0.856 0.474
0.178 0.197 0.413
0.193 0.016 0.588
0.654 0.324 0.680
0.005 0.013 0.847
0.657 0.328 0.180
0.324 0.677 0.322
0.344 0.668 0.512
0.673 0.341 0.487
0.988 0.993 0.654
0.018 0.017 0.155
0.658 0.325 0.987
0.331 0.658 0.011
0.335 0.686 0.820
0.999 0.000 0.345
0.369 0.337 0.083
0.634 0.967 0.417
0.698 0.000 0.750
0.034 0.666 0.418
0.000 0.301 0.249
0.034 0.369 0.916
0.332 0.964 0.919
0.299 0.999 0.250
0.665 0.630 0.585
```

Calculated values
* energy of formation from the pure elements: -91.7 eV/f.u.



Record 10
First-principles (GGA-PBE) data for crystalline Te2Mo2WSe2S2 at its relaxed geometry, as listed in the Materials Project database.

Cell and atoms, written as POSCAR:
```
Te2Mo2WSe2S2
1.0
1.676 -2.903 0.000
1.676 2.903 0.000
0.000 0.000 30.994
Mo Te W S Se
2 2 1 2 2
direct
0.333 0.667 0.116
0.333 0.667 0.578
0.333 0.667 0.285
0.333 0.667 0.408
0.667 0.333 0.347
0.667 0.333 0.165
0.667 0.333 0.067
0.667 0.333 0.632
0.667 0.333 0.525
```

Calculated values
* energy of formation from the pure elements: -5.4 eV/f.u.
* energy above the lowest structure with this stoichiometry: 0.049 eV per atom



Record 11
First-principles (GGA-PBE) data for crystalline PmCl3 at its relaxed geometry, as listed in the Materials Project database.

Cell and atoms, written as POSCAR:
```
PmCl3
1.0
-3.667 6.729 -5.959
-5.895 -5.064 5.816
0.411 2.592 2.674
Cl Pm
6 2
direct
0.214 0.427 0.250
0.427 0.214 0.750
0.214 0.786 0.250
0.786 0.214 0.750
0.573 0.786 0.250
0.786 0.573 0.750
0.333 0.667 0.750
0.667 0.333 0.250
```

Calculated values
* energy of formation from the pure elements: -10.7 eV/f.u.